1.
Compound: ThNi2B2C
Source: the Materials Project
Functional: PBE-GGA
Structure: relaxed

The structure in CIF format:
```
data_ThNi2B2C
_space_group_name_H-M_alt 'I 4/m m m'
_space_group_IT_number 139
_space_group_name_Hall '-I 4 2'
_cell_length_a 3.690
_cell_length_b 3.690
_cell_length_c 10.154
_cell_angle_alpha 90.00
_cell_angle_beta 90.00
_cell_angle_gamma 90.00
loop_
_atom_site_label
_atom_site_type_symbol
_atom_site_fract_x
_atom_site_fract_y
_atom_site_fract_z
_atom_site_occupancy
Th1 Th 0.000 0.000 0.000 1
Ni1 Ni 0.000 0.500 0.250 1
B1 B 0.000 0.000 0.351 1
C1 C 0.000 0.000 0.500 1
```

Calculated values
DFT formation energy	-0.49	eV/atom
crystal system	tetragonal
raw total energy	-7.4207	eV per atom

***

2.
Compound: HgH2NCl
Source: the Materials Project
Functional: PBE-GGA
Structure: relaxed

The structure in CIF format:
```
data_HgH2NCl
_space_group_name_H-M_alt 'P m m a'
_space_group_IT_number 51
_cell_length_a 6.811
_cell_length_b 4.491
_cell_length_c 5.104
_cell_angle_alpha 90.00
_cell_angle_beta 90.00
_cell_angle_gamma 90.00
loop_
_space_group_symop_operation_xyz
'x,y,z'
'-x,-y,-z'
'-x+1/2,-y,z'
'x+1/2,y,-z'
'x+1/2,-y,-z'
'-x+1/2,y,z'
'-x,y,-z'
'x,-y,z'
loop_
_atom_site_label
_atom_site_type_symbol
_atom_site_fract_x
_atom_site_fract_y
_atom_site_fract_z
_atom_site_occupancy
Hg1 Hg 0.000 0.000 0.000 1
H1 H 0.250 0.184 0.369 1
N1 N 0.250 0.000 0.248 1
Cl1 Cl 0.250 0.500 0.724 1
```

Calculated values
DFT formation energy	-0.45	eV/atom
crystal system	orthorhombic
raw total energy	-3.7840	eV per atom

***

3.
Compound: Ba2NdMgRuO6
Source: the Materials Project
Functional: PBE-GGA
Structure: relaxed

The structure in CIF format:
```
data_Ba2NdMgRuO6
_space_group_name_H-M_alt 'R 3 m'
_space_group_IT_number 160
_space_group_name_Hall 'R 3 -2"'
_cell_length_a 6.0396
_cell_length_b 6.0396
_cell_length_c 17.1349
_cell_angle_alpha 90.00
_cell_angle_beta 90.00
_cell_angle_gamma 120.00
loop_
_atom_site_label
_atom_site_type_symbol
_atom_site_fract_x
_atom_site_fract_y
_atom_site_fract_z
_atom_site_occupancy
Ba1 Ba 0.0000 0.0000 0.0000 1
Ba2 Ba 0.0000 0.0000 0.4550 1
Nd1 Nd 0.0000 0.0000 0.7983 1
Mg1 Mg 0.0000 0.0000 0.6313 1
Ru1 Ru 0.0000 0.0000 0.2723 1
O1 O 0.1687 0.3374 0.3489 1
O2 O 0.1758 0.3516 0.8707 1
```

Calculated values
DFT formation energy	-2.40	eV/atom
crystal system	trigonal
raw total energy	-6.4918	eV per atom
offset from the most stable computed form	79	meV per atom

***

4.
Compound: Ir2Se9Cl6
Source: the Materials Project
Functional: PBE-GGA
Structure: relaxed

The structure in CIF format:
```
data_Ir2Se9Cl6
_space_group_name_H-M_alt 'I 41/a'
_space_group_IT_number 88
_cell_length_a 12.587
_cell_length_b 12.587
_cell_length_c 24.142
_cell_angle_alpha 90.00
_cell_angle_beta 90.00
_cell_angle_gamma 90.00
loop_
_space_group_symop_operation_xyz
'x,y,z'
'-x,-y,-z'
'-y+3/4,x+1/4,z+1/4'
'y+3/4,-x+1/4,-z+1/4'
'-x+1/2,-y,z+1/2'
'x+1/2,y,-z+1/2'
'y+3/4,-x+3/4,z+3/4'
'-y+3/4,x+3/4,-z+3/4'
'x+1/2,y+1/2,z+1/2'
'-x+1/2,-y+1/2,-z+1/2'
'-y+1/4,x+3/4,z+3/4'
'y+1/4,-x+3/4,-z+3/4'
'-x,-y+1/2,z'
'x,y+1/2,-z'
'y+1/4,-x+1/4,z+1/4'
'-y+1/4,x+1/4,-z+1/4'
loop_
_atom_site_label
_atom_site_type_symbol
_atom_site_fract_x
_atom_site_fract_y
_atom_site_fract_z
_atom_site_occupancy
Ir1 Ir 0.110 0.111 0.360 1
Se1 Se 0.000 0.250 0.490 1
Se2 Se 0.002 0.108 0.825 1
Se3 Se 0.033 0.344 0.973 1
Se4 Se 0.076 0.421 0.378 1
Se5 Se 0.143 0.084 0.958 1
Cl1 Cl 0.103 0.462 0.702 1
Cl2 Cl 0.130 0.050 0.095 1
Cl3 Cl 0.131 0.485 0.566 1
```

Calculated values
DFT formation energy	-0.55	eV/atom
crystal system	tetragonal
raw total energy	-3.8765	eV per atom

***

5.
Compound: NbO2
Source: the Materials Project
Functional: PBE-GGA
Structure: relaxed

The structure in CIF format:
```
data_NbO2
_space_group_name_H-M_alt 'I 41/a'
_space_group_IT_number 88
_cell_length_a 13.894
_cell_length_b 13.894
_cell_length_c 6.089
_cell_angle_alpha 90.00
_cell_angle_beta 90.00
_cell_angle_gamma 90.00
loop_
_space_group_symop_operation_xyz
'x,y,z'
'-x,-y,-z'
'-y+3/4,x+1/4,z+1/4'
'y+3/4,-x+1/4,-z+1/4'
'-x+1/2,-y,z+1/2'
'x+1/2,y,-z+1/2'
'y+3/4,-x+3/4,z+3/4'
'-y+3/4,x+3/4,-z+3/4'
'x+1/2,y+1/2,z+1/2'
'-x+1/2,-y+1/2,-z+1/2'
'-y+1/4,x+3/4,z+3/4'
'y+1/4,-x+3/4,-z+3/4'
'-x,-y+1/2,z'
'x,y+1/2,-z'
'y+1/4,-x+1/4,z+1/4'
'-y+1/4,x+1/4,-z+1/4'
loop_
_atom_site_label
_atom_site_type_symbol
_atom_site_fract_x
_atom_site_fract_y
_atom_site_fract_z
_atom_site_occupancy
Nb1 Nb 0.113 0.376 0.474 1
Nb2 Nb 0.125 0.116 0.220 1
O1 O 0.013 0.126 0.987 1
O2 O 0.027 0.124 0.504 1
O3 O 0.125 0.476 0.749 1
O4 O 0.125 0.487 0.258 1
```

Calculated values
DFT formation energy	-2.89	eV/atom
crystal system	tetragonal
raw total energy	-9.1020	eV per atom

***

6.
Compound: SmFe10Mo2
Source: the Materials Project
Functional: PBE-GGA
Structure: relaxed

The structure in CIF format:
```
data_SmFe10Mo2
_space_group_name_H-M_alt 'I m m m'
_space_group_IT_number 71
_space_group_name_Hall '-I 2 2'
_cell_length_a 4.766
_cell_length_b 8.560
_cell_length_c 8.641
_cell_angle_alpha 90.00
_cell_angle_beta 90.00
_cell_angle_gamma 90.00
loop_
_atom_site_label
_atom_site_type_symbol
_atom_site_fract_x
_atom_site_fract_y
_atom_site_fract_z
_atom_site_occupancy
Sm1 Sm 0.000 0.000 0.000 1
Fe1 Fe 0.000 0.279 0.500 1
Fe2 Fe 0.000 0.358 0.000 1
Fe3 Fe 0.000 0.500 0.272 1
Fe4 Fe 0.250 0.250 0.250 1
Mo1 Mo 0.000 0.000 0.359 1
```

Calculated values
DFT formation energy	0.01	eV/atom
crystal system	orthorhombic
raw total energy	-8.5320	eV per atom